# MgVCr2Fe3P6O24

An optimized crystal structure of MgVCr2Fe3P6O24 (GGA+U, the Materials Project database).

a = 8.663 Å, b = 8.663 Å, c = 8.739 Å
α = 91.82°, β = 117.74°, γ = 119.87°
Space group P1 (No. 1)
Symmetry-distinct sites (fractional):
1 Mg 0.000 0.000 0.000 [1 per cell]
2 V 0.963 0.517 0.476 [1 per cell]
3 Cr 0.250 0.372 0.616 [1 per cell]
4 Cr 0.271 0.869 0.132 [1 per cell]
5 Fe 0.524 0.234 0.757 [1 per cell]
6 Fe 0.557 0.721 0.274 [1 per cell]
7 Fe 0.758 0.123 0.871 [1 per cell]
8 P 0.051 0.910 0.376 [1 per cell]
9 P 0.056 0.430 0.169 [1 per cell]
10 P 0.457 0.816 0.872 [1 per cell]
11 P 0.475 0.321 0.093 [1 per cell]
12 P 0.751 0.618 0.662 [1 per cell]
13 P 0.769 0.121 0.575 [1 per cell]
14 O 0.056 0.256 0.120 [1 per cell]
15 O 0.074 0.761 0.458 [1 per cell]
16 O 0.078 0.451 0.356 [1 per cell]
17 O 0.103 0.918 0.228 [1 per cell]
18 O 0.215 0.108 0.536 [1 per cell]
19 O 0.239 0.620 0.188 [1 per cell]
20 O 0.277 0.626 0.705 [1 per cell]
21 O 0.312 0.123 0.082 [1 per cell]
22 O 0.428 0.802 0.033 [1 per cell]
23 O 0.442 0.469 0.140 [1 per cell]
24 O 0.445 0.313 0.903 [1 per cell]
25 O 0.451 0.984 0.816 [1 per cell]
26 O 0.561 0.456 0.670 [1 per cell]
27 O 0.603 0.959 0.390 [1 per cell]
28 O 0.648 0.178 0.624 [1 per cell]
29 O 0.651 0.688 0.513 [1 per cell]
30 O 0.677 0.868 0.922 [1 per cell]
31 O 0.701 0.375 0.243 [1 per cell]
32 O 0.828 0.863 0.295 [1 per cell]
33 O 0.839 0.381 0.003 [1 per cell]
34 O 0.853 0.535 0.610 [1 per cell]
35 O 0.888 0.076 0.742 [1 per cell]
36 O 0.931 0.768 0.852 [1 per cell]
37 O 0.942 0.288 0.555 [1 per cell]

Computed properties:
distance to the lowest polymorph of the same formula: 2.22 eV per formula unit
calculated volume: 473 Å³/f.u.
ΔE_f: -2414 meV/atom
VASP energy: -267.00 eV for the cell shown